# 1
# PBE KMg6C, optimized geometry
data_KMg6C
_chemical_formula_sum 'K2 Mg12 C2'
_symmetry_space_group_name_H-M 'P 1'
_symmetry_Int_Tables_number 1
_cell_length_a 3.259
_cell_length_b 8.249
_cell_length_c 14.313
_cell_angle_alpha 90.00
_cell_angle_beta 90.00
_cell_angle_gamma 90.00
loop_
_symmetry_equiv_pos_as_xyz
'x,y,z'
loop_
_atom_site_label
_atom_site_type_symbol
_atom_site_fract_x
_atom_site_fract_y
_atom_site_fract_z
K1 K 0.000 0.000 0.843
K2 K 0.000 0.500 0.343
Mg1 Mg 0.000 0.825 0.630
Mg2 Mg 0.000 0.175 0.630
Mg3 Mg 0.000 0.500 0.789
Mg4 Mg 0.500 0.330 0.962
Mg5 Mg 0.500 0.670 0.962
Mg6 Mg 0.500 0.500 0.589
Mg7 Mg 0.000 0.325 0.130
Mg8 Mg 0.000 0.675 0.130
Mg9 Mg 0.000 0.000 0.289
Mg10 Mg 0.500 0.830 0.462
Mg11 Mg 0.500 0.170 0.462
Mg12 Mg 0.500 0.000 0.089
C1 C 0.500 0.000 0.594
C2 C 0.500 0.500 0.094
# excess energy over the best structure of this formula in the dataset	0.00	eV per formula unit

=====

# 2
# PBE Na2AlInP2SO12, optimized geometry
data_Na2AlInP2SO12
_chemical_formula_sum 'Na12 Al6 In6 P12 S6 O72'
_symmetry_space_group_name_H-M 'P 1'
_symmetry_Int_Tables_number 1
_cell_length_a 8.728
_cell_length_b 8.731
_cell_length_c 22.238
_cell_angle_alpha 90.56
_cell_angle_beta 89.54
_cell_angle_gamma 120.10
loop_
_symmetry_equiv_pos_as_xyz
'x,y,z'
loop_
_atom_site_label
_atom_site_type_symbol
_atom_site_fract_x
_atom_site_fract_y
_atom_site_fract_z
Na1 Na 0.997 0.637 0.254
Na2 Na 0.370 0.008 0.750
Na3 Na 0.662 0.957 0.587
Na4 Na 0.038 0.335 0.087
Na5 Na 0.327 0.301 0.920
Na6 Na 0.697 0.672 0.420
Na7 Na 0.026 0.999 0.500
Na8 Na 0.004 0.977 0.001
Na9 Na 0.691 0.330 0.831
Na10 Na 0.666 0.311 0.335
Na11 Na 0.356 0.665 0.172
Na12 Na 0.334 0.646 0.664
Al1 Al 0.984 0.996 0.349
Al2 Al 0.004 0.998 0.645
Al3 Al 0.657 0.332 0.682
Al4 Al 0.668 0.347 0.188
Al5 Al 0.667 0.331 0.482
Al6 Al 0.333 0.667 0.320
In1 In 0.998 0.007 0.845
In2 In 0.001 0.999 0.157
In3 In 0.667 0.331 0.984
In4 In 0.328 0.672 0.022
In5 In 0.331 0.673 0.516
In6 In 0.336 0.664 0.810
P1 P 0.691 0.700 0.254
P2 P 0.002 0.301 0.253
P3 P 0.298 0.291 0.743
P4 P 0.712 0.012 0.741
P5 P 0.376 0.056 0.584
P6 P 0.678 0.621 0.582
P7 P 0.955 0.627 0.089
P8 P 0.378 0.333 0.087
P9 P 0.034 0.368 0.917
P10 P 0.332 0.964 0.913
P11 P 0.631 0.968 0.416
P12 P 0.035 0.670 0.414
S1 S 0.303 0.001 0.255
S2 S 0.985 0.698 0.743
S3 S 0.949 0.330 0.584
S4 S 0.664 0.043 0.090
S5 S 0.636 0.671 0.917
S6 S 0.325 0.363 0.415
O1 O 0.208 0.028 0.305
O2 O 0.827 0.791 0.306
O3 O 0.977 0.168 0.302
O4 O 0.240 0.192 0.805
O5 O 0.957 0.764 0.801
O6 O 0.806 0.035 0.801
O7 O 0.808 0.986 0.686
O8 O 0.169 0.179 0.694
O9 O 0.010 0.819 0.693
O10 O 0.760 0.810 0.197
O11 O 0.042 0.242 0.192
O12 O 0.195 0.952 0.199
O13 O 0.862 0.348 0.638
O14 O 0.492 0.138 0.640
O15 O 0.658 0.507 0.636
O16 O 0.859 0.512 0.146
O17 O 0.656 0.144 0.142
O18 O 0.494 0.339 0.140
O19 O 0.444 0.312 0.024
O20 O 0.861 0.545 0.030
O21 O 0.687 0.134 0.032
O22 O 0.471 0.168 0.528
O23 O 0.695 0.536 0.523
O24 O 0.842 0.305 0.529
O25 O 0.554 0.691 0.972
O26 O 0.140 0.444 0.977
O27 O 0.320 0.861 0.970
O28 O 0.576 0.854 0.475
O29 O 0.286 0.427 0.472
O30 O 0.143 0.709 0.472
O31 O 0.128 0.641 0.359
O32 O 0.499 0.863 0.366
O33 O 0.360 0.490 0.365
O34 O 0.130 0.477 0.861
O35 O 0.354 0.886 0.853
O36 O 0.530 0.648 0.863
O37 O 0.008 0.833 0.404
O38 O 0.816 0.990 0.402
O39 O 0.173 0.185 0.403
O40 O 0.019 0.184 0.914
O41 O 0.162 0.979 0.912
O42 O 0.813 0.828 0.913
O43 O 0.965 0.167 0.587
O44 O 0.189 0.034 0.590
O45 O 0.841 0.813 0.589
O46 O 0.978 0.812 0.092
O47 O 0.824 0.026 0.092
O48 O 0.187 0.174 0.091
O49 O 0.688 0.177 0.735
O50 O 0.486 0.316 0.735
O51 O 0.834 0.519 0.735
O52 O 0.680 0.516 0.246
O53 O 0.833 0.320 0.247
O54 O 0.478 0.161 0.247
O55 O 0.646 0.507 0.918
O56 O 0.851 0.352 0.918
O57 O 0.493 0.156 0.915
O58 O 0.645 0.150 0.426
O59 O 0.492 0.356 0.421
O60 O 0.846 0.502 0.422
O61 O 0.366 0.506 0.088
O62 O 0.138 0.635 0.091
O63 O 0.503 0.868 0.090
O64 O 0.361 0.870 0.581
O65 O 0.511 0.644 0.580
O66 O 0.127 0.488 0.581
O67 O 0.324 0.843 0.265
O68 O 0.508 0.675 0.268
O69 O 0.162 0.490 0.265
O70 O 0.308 0.472 0.745
O71 O 0.153 0.692 0.744
O72 O 0.521 0.847 0.743
# E	-0.2383	Ha/atom

=====

# 3
# PBE Ce2Fe17C3, optimized geometry
data_Ce2Fe17C3
_chemical_formula_sum 'Ce2 Fe17 C3'
_symmetry_space_group_name_H-M 'P 1'
_symmetry_Int_Tables_number 1
_cell_length_a 6.536
_cell_length_b 6.536
_cell_length_c 6.536
_cell_angle_alpha 83.70
_cell_angle_beta 83.70
_cell_angle_gamma 83.70
loop_
_symmetry_equiv_pos_as_xyz
'x,y,z'
loop_
_atom_site_label
_atom_site_type_symbol
_atom_site_fract_x
_atom_site_fract_y
_atom_site_fract_z
Ce1 Ce 0.658 0.658 0.658
Ce2 Ce 0.342 0.342 0.342
Fe1 Fe 0.000 0.000 0.500
Fe2 Fe 0.000 0.500 0.000
Fe3 Fe 0.500 0.000 0.000
Fe4 Fe 0.284 0.716 0.000
Fe5 Fe 0.716 0.000 0.284
Fe6 Fe 0.000 0.284 0.716
Fe7 Fe 0.284 0.000 0.716
Fe8 Fe 0.000 0.716 0.284
Fe9 Fe 0.716 0.284 0.000
Fe10 Fe 0.343 0.343 0.853
Fe11 Fe 0.343 0.853 0.343
Fe12 Fe 0.853 0.343 0.343
Fe13 Fe 0.657 0.657 0.147
Fe14 Fe 0.657 0.147 0.657
Fe15 Fe 0.147 0.657 0.657
Fe16 Fe 0.905 0.905 0.905
Fe17 Fe 0.095 0.095 0.095
C1 C 0.500 0.500 0.000
C2 C 0.500 0.000 0.500
C3 C 0.000 0.500 0.500
# E	-0.3085	Ha/atom

=====

# 4
# PBE MgHg5, optimized geometry
data_MgHg5
_chemical_formula_sum 'Mg1 Hg5'
_symmetry_space_group_name_H-M 'P 1'
_symmetry_Int_Tables_number 1
_cell_length_a 6.075
_cell_length_b 6.075
_cell_length_c 4.857
_cell_angle_alpha 90.00
_cell_angle_beta 90.00
_cell_angle_gamma 120.00
loop_
_symmetry_equiv_pos_as_xyz
'x,y,z'
loop_
_atom_site_label
_atom_site_type_symbol
_atom_site_fract_x
_atom_site_fract_y
_atom_site_fract_z
Mg1 Mg 0.000 0.000 0.000
Hg1 Hg 0.000 0.690 0.500
Hg2 Hg 0.690 0.000 0.500
Hg3 Hg 0.310 0.310 0.500
Hg4 Hg 0.667 0.333 0.000
Hg5 Hg 0.333 0.667 0.000
# E	-0.0201	Ha/atom

=====

# 5
# PBE K2Pb3C3O9F2, optimized geometry
data_K2Pb3C3O9F2
_chemical_formula_sum 'K4 Pb6 C6 O18 F4'
_symmetry_space_group_name_H-M 'P 1'
_symmetry_Int_Tables_number 1
_cell_length_a 5.376
_cell_length_b 5.376
_cell_length_c 23.621
_cell_angle_alpha 90.00
_cell_angle_beta 90.00
_cell_angle_gamma 120.00
loop_
_symmetry_equiv_pos_as_xyz
'x,y,z'
loop_
_atom_site_label
_atom_site_type_symbol
_atom_site_fract_x
_atom_site_fract_y
_atom_site_fract_z
K1 K 0.667 0.333 0.347
K2 K 0.333 0.667 0.653
K3 K 0.333 0.667 0.847
K4 K 0.667 0.333 0.153
Pb1 Pb 0.333 0.667 0.250
Pb2 Pb 0.667 0.333 0.750
Pb3 Pb 0.333 0.667 0.452
Pb4 Pb 0.667 0.333 0.548
Pb5 Pb 0.667 0.333 0.952
Pb6 Pb 0.333 0.667 0.048
C1 C 0.000 0.000 0.435
C2 C 0.000 0.000 0.565
C3 C 0.000 0.000 0.935
C4 C 0.000 0.000 0.065
C5 C 0.000 0.000 0.250
C6 C 0.000 0.000 0.750
O1 O 0.860 0.720 0.435
O2 O 0.280 0.140 0.435
O3 O 0.860 0.140 0.435
O4 O 0.140 0.280 0.565
O5 O 0.720 0.860 0.565
O6 O 0.140 0.860 0.565
O7 O 0.140 0.280 0.935
O8 O 0.720 0.860 0.935
O9 O 0.140 0.860 0.935
O10 O 0.860 0.720 0.065
O11 O 0.280 0.140 0.065
O12 O 0.860 0.140 0.065
O13 O 0.860 0.720 0.250
O14 O 0.280 0.140 0.250
O15 O 0.860 0.140 0.250
O16 O 0.140 0.280 0.750
O17 O 0.720 0.860 0.750
O18 O 0.140 0.860 0.750
F1 F 0.333 0.667 0.354
F2 F 0.667 0.333 0.646
F3 F 0.667 0.333 0.854
F4 F 0.333 0.667 0.146
# E	-0.2355	Ha/atom

=====

# 6
# PBE Cu3RuN, optimized geometry
data_Cu3RuN
_chemical_formula_sum 'Cu3 Ru1 N1'
_symmetry_space_group_name_H-M 'P 1'
_symmetry_Int_Tables_number 1
_cell_length_a 3.871
_cell_length_b 3.871
_cell_length_c 3.871
_cell_angle_alpha 90.00
_cell_angle_beta 90.00
_cell_angle_gamma 90.00
loop_
_symmetry_equiv_pos_as_xyz
'x,y,z'
loop_
_atom_site_label
_atom_site_type_symbol
_atom_site_fract_x
_atom_site_fract_y
_atom_site_fract_z
Cu1 Cu 0.500 0.000 0.000
Cu2 Cu 0.000 0.500 0.000
Cu3 Cu 0.000 0.000 0.500
Ru1 Ru 0.500 0.500 0.500
N1 N 0.000 0.000 0.000
# E	-0.1984	Ha/atom

=====

# 7
# PBE ErAsSe, optimized geometry
data_ErAsSe
_chemical_formula_sum 'Er4 As4 Se4'
_symmetry_space_group_name_H-M 'P 1'
_symmetry_Int_Tables_number 1
_cell_length_a 3.894
_cell_length_b 3.914
_cell_length_c 17.447
_cell_angle_alpha 90.00
_cell_angle_beta 90.00
_cell_angle_gamma 90.00
loop_
_symmetry_equiv_pos_as_xyz
'x,y,z'
loop_
_atom_site_label
_atom_site_type_symbol
_atom_site_fract_x
_atom_site_fract_y
_atom_site_fract_z
Er1 Er 0.750 0.729 0.639
Er2 Er 0.250 0.271 0.361
Er3 Er 0.750 0.771 0.139
Er4 Er 0.250 0.229 0.861
As1 As 0.250 0.716 0.998
As2 As 0.750 0.284 0.002
As3 As 0.250 0.784 0.498
As4 As 0.750 0.216 0.502
Se1 Se 0.750 0.731 0.812
Se2 Se 0.250 0.269 0.188
Se3 Se 0.750 0.769 0.312
Se4 Se 0.250 0.231 0.688
# E	-0.2077	Ha/atom

=====

# 8
# PBE Na12Ca4Ta2Si6S3O36, optimized geometry
data_Na12Ca4Ta2Si6S3O36
_chemical_formula_sum 'Na24 Ca8 Ta4 Si12 S6 O72'
_symmetry_space_group_name_H-M 'P 1'
_symmetry_Int_Tables_number 1
_cell_length_a 9.451
_cell_length_b 9.432
_cell_length_c 22.692
_cell_angle_alpha 90.33
_cell_angle_beta 90.00
_cell_angle_gamma 120.07
loop_
_symmetry_equiv_pos_as_xyz
'x,y,z'
loop_
_atom_site_label
_atom_site_type_symbol
_atom_site_fract_x
_atom_site_fract_y
_atom_site_fract_z
Na1 Na 0.657 0.022 0.259
Na2 Na 0.333 0.324 0.254
Na3 Na 0.001 0.646 0.234
Na4 Na 0.645 0.646 0.734
Na5 Na 0.992 0.324 0.754
Na6 Na 0.365 0.022 0.759
Na7 Na 0.310 0.352 0.586
Na8 Na 0.028 0.709 0.573
Na9 Na 0.665 0.940 0.580
Na10 Na 0.275 0.940 0.080
Na11 Na 0.681 0.709 0.073
Na12 Na 0.042 0.352 0.086
Na13 Na 0.003 0.702 0.917
Na14 Na 0.710 0.019 0.904
Na15 Na 0.303 0.282 0.905
Na16 Na 0.979 0.282 0.405
Na17 Na 0.310 0.019 0.404
Na18 Na 0.699 0.702 0.417
Na19 Na 0.987 0.989 0.490
Na20 Na 0.002 0.989 0.990
Na21 Na 0.647 0.317 0.825
Na22 Na 0.669 0.317 0.325
Na23 Na 0.297 0.664 0.170
Na24 Na 0.367 0.664 0.670
Ca1 Ca 0.002 0.001 0.346
Ca2 Ca 0.999 0.001 0.846
Ca3 Ca 0.988 0.003 0.653
Ca4 Ca 0.014 0.003 0.153
Ca5 Ca 0.662 0.335 0.684
Ca6 Ca 0.674 0.335 0.184
Ca7 Ca 0.330 0.667 0.014
Ca8 Ca 0.337 0.667 0.514
Ta1 Ta 0.679 0.344 0.974
Ta2 Ta 0.665 0.344 0.474
Ta3 Ta 0.323 0.666 0.323
Ta4 Ta 0.343 0.666 0.823
Si1 Si 0.310 0.989 0.252
Si2 Si 0.009 0.316 0.251
Si3 Si 0.307 0.316 0.751
Si4 Si 0.679 0.989 0.752
Si5 Si 0.672 0.635 0.584
Si6 Si 0.963 0.635 0.084
Si7 Si 0.635 0.663 0.923
Si8 Si 0.034 0.370 0.921
Si9 Si 0.341 0.970 0.923
Si10 Si 0.629 0.970 0.423
Si11 Si 0.336 0.370 0.421
Si12 Si 0.028 0.663 0.423
S1 S 0.679 0.695 0.252
S2 S 0.017 0.695 0.752
S3 S 0.951 0.329 0.580
S4 S 0.374 0.047 0.580
S5 S 0.673 0.047 0.080
S6 S 0.377 0.329 0.080
O1 O 0.223 0.014 0.309
O2 O 0.780 0.769 0.304
O3 O 0.973 0.197 0.307
O4 O 0.224 0.197 0.807
O5 O 0.989 0.769 0.804
O6 O 0.792 0.014 0.809
O7 O 0.746 0.943 0.692
O8 O 0.197 0.247 0.691
O9 O 0.035 0.793 0.698
O10 O 0.758 0.793 0.198
O11 O 0.050 0.247 0.191
O12 O 0.198 0.943 0.192
O13 O 0.872 0.331 0.635
O14 O 0.462 0.122 0.635
O15 O 0.673 0.545 0.643
O16 O 0.872 0.545 0.143
O17 O 0.661 0.122 0.135
O18 O 0.459 0.331 0.135
O19 O 0.476 0.322 0.028
O20 O 0.834 0.507 0.026
O21 O 0.674 0.148 0.028
O22 O 0.474 0.148 0.528
O23 O 0.674 0.507 0.526
O24 O 0.847 0.322 0.528
O25 O 0.567 0.694 0.983
O26 O 0.125 0.440 0.982
O27 O 0.311 0.873 0.983
O28 O 0.562 0.873 0.483
O29 O 0.315 0.440 0.482
O30 O 0.127 0.694 0.483
O31 O 0.141 0.640 0.369
O32 O 0.497 0.859 0.367
O33 O 0.366 0.504 0.366
O34 O 0.138 0.504 0.866
O35 O 0.362 0.859 0.867
O36 O 0.499 0.640 0.869
O37 O 0.980 0.800 0.410
O38 O 0.810 0.000 0.411
O39 O 0.190 0.186 0.410
O40 O 0.997 0.186 0.910
O41 O 0.190 0.000 0.911
O42 O 0.820 0.800 0.910
O43 O 0.966 0.179 0.576
O44 O 0.214 0.043 0.578
O45 O 0.841 0.810 0.573
O46 O 0.969 0.810 0.073
O47 O 0.829 0.043 0.078
O48 O 0.213 0.179 0.076
O49 O 0.649 0.146 0.749
O50 O 0.498 0.361 0.750
O51 O 0.881 0.523 0.746
O52 O 0.642 0.523 0.246
O53 O 0.863 0.361 0.250
O54 O 0.496 0.146 0.249
O55 O 0.626 0.477 0.924
O56 O 0.849 0.366 0.921
O57 O 0.520 0.150 0.925
O58 O 0.630 0.150 0.425
O59 O 0.516 0.366 0.421
O60 O 0.851 0.477 0.424
O61 O 0.364 0.479 0.078
O62 O 0.142 0.648 0.084
O63 O 0.531 0.878 0.078
O64 O 0.347 0.878 0.578
O65 O 0.505 0.648 0.584
O66 O 0.115 0.479 0.578
O67 O 0.326 0.819 0.264
O68 O 0.518 0.693 0.258
O69 O 0.187 0.497 0.265
O70 O 0.310 0.497 0.765
O71 O 0.175 0.693 0.758
O72 O 0.493 0.819 0.764
# E	-0.2436	Ha/atom